[1]
Material: V9Cr3B8
Method: DFT, r²SCAN
State: relaxed

The structure in extended XYZ format:
```
20
Lattice="5.6416 0.0000 0.0000 0.0000 2.9924 0.0000 -0.0017 0.0000 11.2856" Properties=species:S:1:pos:R:3 pbc="T T T"
V 0.0000 0.0000 0.0000
V 1.0088 1.4962 3.8419
V 1.0182 1.4962 9.4490
V 1.8112 1.4962 6.6460
V 1.8226 1.4962 1.0242
V 3.8174 1.4962 10.2614
V 3.8288 1.4962 4.6396
V 4.6218 1.4962 1.8366
V 4.6312 1.4962 7.4437
Cr -0.0008 0.0000 5.6428
Cr 2.8193 0.0000 2.8301
Cr 2.8207 0.0000 8.4555
B 0.6319 0.0000 7.8162
B 0.6368 0.0000 2.2055
B 2.1859 0.0000 5.0091
B 2.1904 0.0000 10.6477
B 3.4496 0.0000 0.6378
B 3.4541 0.0000 6.2764
B 5.0032 0.0000 9.0800
B 5.0081 0.0000 3.4693
```

Output
The calculation puts the total energy at -12.256 eV per atom. Its space group is P2/m (10). The formation enthalpy at 0 K is -716.3 meV/atom.

[2]
Material: CsBF4
Method: DFT, r²SCAN
State: relaxed

The structure in extended XYZ format:
```
24
Lattice="9.6739 0.0000 0.0000 0.0000 5.7042 0.0000 0.0000 0.0000 7.5932" Properties=species:S:1:pos:R:3 pbc="T T T"
Cs 1.8514 1.4261 1.2162
Cs 2.9855 4.2782 5.0128
Cs 6.6884 1.4261 2.5804
Cs 7.8224 4.2782 6.3770
B 0.5077 1.4261 5.3084
B 4.3292 4.2782 1.5118
B 5.3447 1.4261 6.0814
B 9.1662 4.2782 2.2848
F 0.6942 0.2790 6.1144
F 0.6942 2.5732 6.1144
F 0.7960 4.2782 2.7957
F 1.4592 1.4261 4.2758
F 3.3778 4.2782 0.4791
F 4.0409 1.4261 6.5924
F 4.1427 3.1311 2.3177
F 4.1427 5.4253 2.3177
F 5.5311 0.2790 5.2755
F 5.5311 2.5732 5.2755
F 5.6329 4.2782 1.0009
F 6.2961 1.4261 7.1141
F 8.2147 4.2782 3.3175
F 8.8779 1.4261 4.7975
F 8.9797 3.1311 1.4789
F 8.9797 5.4253 1.4789
```

Output
The calculation puts the total energy at -10.705 eV per atom. Its space group is Pnma (62). The formation enthalpy at 0 K is -3211.4 meV/atom.

[3]
Material: CsB6H6
Method: DFT, r²SCAN
State: relaxed

The structure in extended XYZ format:
```
26
Lattice="0.0000 5.5997 5.5997 5.5997 0.0000 5.5997 5.5997 5.5997 0.0000" Properties=species:S:1:pos:R:3 pbc="T T T"
Cs 2.7998 2.7998 2.7998
Cs 8.3995 8.3995 8.3995
B 5.5997 4.7137 1.4379
B 9.7615 5.5997 4.7137
B 6.4857 1.4379 5.5997
B 5.5997 6.4857 1.4379
B 4.7137 1.4379 5.5997
B 9.7615 5.5997 6.4857
B 1.4379 5.5997 4.7137
B 6.4857 9.7615 5.5997
B 5.5997 4.7137 9.7615
B 4.7137 9.7615 5.5997
B 1.4379 5.5997 6.4857
B 5.5997 6.4857 9.7615
H 5.5997 4.0953 2.4647
H 8.7347 5.5997 4.0953
H 7.1041 2.4647 5.5997
H 5.5997 7.1041 2.4647
H 4.0953 2.4647 5.5997
H 8.7347 5.5997 7.1041
H 2.4647 5.5997 4.0953
H 7.1041 8.7347 5.5997
H 5.5997 4.0953 8.7347
H 4.0953 8.7347 5.5997
H 2.4647 5.5997 7.1041
H 5.5997 7.1041 8.7347
```

Output
The calculation puts the total energy at -7.342 eV per atom. Its space group is Fm-3 (202). The formation enthalpy at 0 K is -425.2 meV/atom.